No. 1
TbNi3Sn2 GGA-PBE optimized geometry; calculated formation energy = -0.3452 eV per atom; energy relative to the lowest polymorph listed for this composition = 0.105 eV/atom; energy = -5.344 eV/atom
1.0
9.5175 0.0000 0.0000
-4.7588 8.2424 0.0000
0.0000 0.0000 4.0766
Tb Ni Sn
3 9 6
Cartesian
0.0000 0.0000 0.0000
0.0000 5.4950 2.0383
4.7588 2.7475 2.0383
-2.3794 4.1212 0.0000
0.0000 3.0218 0.0000
-2.1419 6.7316 0.0000
2.6169 1.5109 0.0000
4.7588 0.0000 0.0000
2.3794 4.1212 0.0000
2.1419 6.7316 0.0000
6.9006 1.5109 0.0000
4.7588 5.2207 0.0000
-1.5287 2.6478 2.0383
-3.2300 5.5946 2.0383
3.0575 0.0000 2.0383
1.5287 2.6478 2.0383
6.4601 0.0000 2.0383
3.2300 5.5946 2.0383


No. 2
Sr2SmS3 GGA-PBE optimized geometry; calculated formation energy = -2.1814 eV per atom; energy = -5.348 eV/atom
1.0
4.1253 0.0000 0.0000
0.0000 4.1253 0.0000
0.0000 0.0000 14.1409
Sr Sm S
2 1 3
Cartesian
0.0000 0.0000 2.8926
0.0000 0.0000 11.2483
2.0626 2.0626 0.0000
0.0000 0.0000 0.0000
2.0626 2.0626 2.9208
2.0626 2.0626 11.2201


No. 3
ThCl4 GGA-PBE optimized geometry; calculated formation energy = -2.6454 eV per atom; energy = -5.116 eV/atom
1.0
-4.2799 4.2799 3.8543
4.2799 -4.2799 3.8543
4.2799 4.2799 -3.8543
Th Cl
2 8
Cartesian
4.2799 2.1399 0.9636
0.0000 2.1399 2.8907
4.2799 -0.5392 1.5054
4.2799 3.7406 -1.5054
1.6007 2.1399 0.4218
2.6792 -2.1399 4.2760
1.6007 6.4198 -0.4218
2.6792 2.1399 3.4325
0.0000 0.5392 5.3596
0.0000 4.8191 2.3489


No. 4
ZnPd3 GGA-PBE optimized geometry; calculated formation energy = -0.3189 eV per atom; energy = -4.519 eV/atom
1.0
5.5819 0.0000 0.0000
-2.7909 4.8340 0.0000
0.0000 0.0000 4.4939
Zn Pd
2 6
Cartesian
0.0000 3.2227 1.1235
2.7909 1.6113 3.3704
0.0000 1.6268 3.3704
-1.3820 4.0206 3.3704
1.4089 0.8134 1.1235
1.3820 4.0206 3.3704
4.1730 0.8134 1.1235
2.7909 3.2072 1.1235


No. 5
H26Pd5C22O16 GGA-PBE optimized geometry; calculated formation energy = -0.6284 eV per atom; energy = -6.213 eV/atom
1.0
10.2223 0.0000 0.0000
-4.6291 9.1568 0.0000
-0.6867 -5.0921 9.7092
H Pd C O
26 5 22 16
Cartesian
-0.8981 0.7128 2.2192
-1.7571 2.2208 2.7071
-3.5207 2.4088 8.6786
-3.3659 7.3379 1.5668
-2.3930 5.8572 1.4198
-2.6457 6.5851 3.0324
0.4304 -0.1785 4.4789
-1.7274 3.3918 5.5583
-1.9995 5.1488 5.4627
0.6950 1.5801 4.6266
-0.5469 4.4508 4.7019
1.9742 0.5210 3.9554
4.0557 -1.9007 3.7576
0.8507 5.9655 5.9516
2.9322 3.5437 5.7538
5.4534 -0.3860 5.0073
4.2115 2.4847 5.0826
6.9060 -1.0841 4.2465
6.6339 0.6729 4.1509
4.4761 4.2432 5.2303
7.5521 -2.5204 6.6768
7.2995 -1.7924 8.2894
8.2724 -3.2732 8.1424
8.4272 1.6560 1.0306
6.6635 1.8439 7.0021
5.8046 3.3520 7.4900
2.9894 2.7486 0.6661
1.6104 5.1928 1.5087
5.1111 0.0000 0.0000
3.2961 -1.1281 8.2005
1.9171 1.3162 9.0431
-1.1615 1.7348 1.9273
-2.4947 6.8039 1.9711
0.0796 2.5437 1.6271
-1.2285 4.3688 5.5570
1.1744 0.6001 4.7023
-1.2522 7.6246 1.7715
1.8315 -2.4611 8.4453
0.1331 0.5006 9.4308
1.7294 0.3924 6.0950
-0.4909 4.5757 6.8534
4.2969 -1.3894 2.8244
0.6096 5.4541 6.8848
5.3974 -0.5110 2.8559
3.1770 3.6723 3.6142
4.7734 3.5641 0.2784
3.0750 6.5259 1.2639
6.1587 -3.5599 7.9377
3.7320 3.4646 5.0070
6.1349 -0.3041 4.1522
4.8269 1.5210 8.0821
7.4012 -2.7392 7.7381
6.0679 2.3299 7.7819
1.0341 -3.0014 7.7753
-0.8512 0.2551 8.8435
1.0814 1.9062 1.1517
0.0245 3.8004 1.8669
-1.1533 8.1495 0.5957
-0.9594 3.9055 7.8487
2.4569 -0.6409 6.2834
1.4188 1.2760 6.9660
3.4876 2.7888 2.7432
2.4496 4.7056 3.4258
5.8659 0.1593 1.8605
6.0598 -4.0848 9.1135
4.8819 0.2644 7.8423
3.8251 2.1586 8.5575
5.7577 3.8096 0.8657
3.8724 7.0661 1.9339


No. 6
LaN GGA-PBE optimized geometry; calculated formation energy = -0.9060 eV per atom; energy = -7.362 eV/atom
1.0
3.1706 0.0000 0.0000
0.0000 3.1706 0.0000
0.0000 0.0000 3.1706
La N
1 1
Cartesian
0.0000 0.0000 0.0000
1.5853 1.5853 1.5853


No. 7
TlTe GGA-PBE optimized geometry; calculated formation energy = -0.4740 eV per atom; energy = -3.016 eV/atom
1.0
18.6035 0.0000 0.0000
0.0000 18.6035 0.0000
0.0000 0.0000 6.2902
Tl Te
32 32
Cartesian
1.3855 2.8621 0.0238
1.3855 6.4396 0.0238
1.3796 12.1575 3.1627
1.3796 15.7477 3.1627
2.8621 1.3855 3.1689
2.8621 7.9162 3.1689
2.8558 10.6813 6.2726
2.8558 17.2239 6.2726
6.4396 1.3855 3.1689
6.4396 7.9162 3.1689
6.4459 10.6813 6.2726
6.4459 17.2239 6.2726
7.9162 2.8621 0.0238
7.9162 6.4396 0.0238
7.9222 12.1575 3.1627
7.9222 15.7477 3.1627
10.6813 2.8558 3.1275
10.6813 6.4459 3.1275
10.6872 12.1639 6.2664
10.6872 15.7414 6.2664
12.1575 1.3796 0.0176
12.1575 7.9222 0.0176
12.1639 10.6872 3.1213
12.1639 17.2180 3.1213
15.7477 1.3796 0.0176
15.7477 7.9222 0.0176
15.7414 10.6872 3.1213
15.7414 17.2180 3.1213
17.2239 2.8558 3.1275
17.2239 6.4459 3.1275
17.2180 12.1639 6.2664
17.2180 15.7414 6.2664
0.0234 9.3251 1.5726
0.0234 18.5801 1.5726
1.6116 4.6509 3.1599
1.6148 13.9526 0.0947
4.6509 1.6116 0.0148
4.6509 4.6509 0.0101
4.6509 4.6509 3.1552
4.6509 7.6902 0.0148
4.6509 10.9166 3.0504
4.6509 13.9526 3.2142
4.6509 13.9526 6.2211
4.6509 16.9886 3.0504
7.6902 4.6509 3.1599
7.6869 13.9526 0.0947
9.2784 9.3251 1.5726
9.2784 18.5801 1.5726
9.3251 0.0234 4.7177
9.3251 9.2784 4.7177
10.9166 4.6509 6.1955
10.9133 13.9526 3.1303
13.9526 1.6148 3.2398
13.9526 4.6509 0.0691
13.9526 4.6509 3.0760
13.9526 7.6869 3.2398
13.9526 10.9133 6.2755
13.9526 13.9526 3.1350
13.9526 13.9526 6.2801
13.9526 16.9919 6.2755
16.9886 4.6509 6.1955
16.9919 13.9526 3.1303
18.5801 0.0234 4.7177
18.5801 9.2784 4.7177


No. 8
Y2Zn17 GGA-PBE optimized geometry; calculated formation energy = -0.2457 eV per atom; energy relative to the lowest polymorph listed for this composition = 0.004 eV/atom; energy = -2.054 eV/atom
1.0
9.0264 0.0000 0.0000
-4.5132 7.8171 0.0000
0.0000 0.0000 8.6970
Y Zn
4 34
Cartesian
0.0000 0.0000 2.1742
0.0000 0.0000 6.5227
0.0000 5.2114 2.1742
4.5132 2.6057 6.5227
-2.2566 3.9085 0.0000
-2.2566 3.9085 4.3485
-1.3224 2.8534 6.5227
-2.7033 5.2451 6.5227
0.0000 2.5287 0.1684
0.0000 2.5287 4.1801
-2.3233 6.5527 0.1684
-2.3233 6.5527 4.1801
2.1899 1.2643 4.5168
2.1899 1.2643 8.5286
1.3224 2.8534 6.5227
-1.3809 7.5357 6.5227
0.0000 5.2114 5.2027
0.0000 5.2114 7.8428
3.1323 0.2814 2.1742
1.8099 2.5720 2.1742
4.5132 0.0000 0.0000
4.5132 0.0000 4.3485
2.2566 3.9085 0.0000
2.2566 3.9085 4.3485
2.7033 5.2451 6.5227
1.3809 7.5357 6.5227
4.5132 2.6057 0.8542
4.5132 2.6057 3.4943
5.8941 0.2814 2.1742
3.1907 4.9637 2.1742
2.3233 6.5527 0.1684
2.3233 6.5527 4.1801
6.8365 1.2643 4.5168
6.8365 1.2643 8.5286
4.5132 5.2884 4.5168
4.5132 5.2884 8.5286
7.2165 2.5720 2.1742
5.8356 4.9637 2.1742


- Among the records above, which one has the highest energy?
  Y2Zn17